r2SCAN Ni2SnP, relaxed; space-group type = Pnma; E_tot = -14.811 eV per atom; volume = 14.52 A^3/atom; M_tot = 0.0 μB/cell; formation enthalpy at 0 K = -383 meV/atom
1.0
13.058 0.000 0.000
0.000 3.537 0.000
0.000 0.000 5.032
Ni Sn P
8 4 4
direct
0.077 0.250 0.015 Ni
0.114 0.250 0.502 Ni
0.386 0.750 0.002 Ni
0.423 0.750 0.515 Ni
0.577 0.250 0.485 Ni
0.614 0.250 0.998 Ni
0.886 0.750 0.498 Ni
0.923 0.750 0.985 Ni
0.205 0.750 0.799 Sn
0.295 0.250 0.299 Sn
0.705 0.750 0.701 Sn
0.795 0.250 0.201 Sn
0.042 0.750 0.289 P
0.458 0.250 0.789 P
0.542 0.750 0.211 P
0.958 0.250 0.711 P



r2SCAN SrNi9P5, relaxed; space-group type = P6_3/mmc; E_tot = -11.883 eV per atom; volume = 12.86 A^3/atom; M_tot = 0.0 μB/cell; formation enthalpy at 0 K = -684 meV/atom
1.0
6.454 0.000 0.000
-3.227 5.589 0.000
0.000 0.000 10.697
Sr Ni P
2 18 10
direct
0.000 0.000 0.000 Sr
0.000 0.000 0.500 Sr
0.071 0.536 0.107 Ni
0.071 0.536 0.393 Ni
0.203 0.406 0.750 Ni
0.203 0.797 0.750 Ni
0.406 0.203 0.250 Ni
0.464 0.536 0.107 Ni
0.464 0.536 0.393 Ni
0.464 0.929 0.107 Ni
0.464 0.929 0.393 Ni
0.536 0.071 0.607 Ni
0.536 0.071 0.893 Ni
0.536 0.464 0.607 Ni
0.536 0.464 0.893 Ni
0.594 0.797 0.750 Ni
0.797 0.203 0.250 Ni
0.797 0.594 0.250 Ni
0.929 0.464 0.607 Ni
0.929 0.464 0.893 Ni
0.174 0.348 0.250 P
0.174 0.826 0.250 P
0.333 0.667 0.561 P
0.333 0.667 0.939 P
0.348 0.174 0.750 P
0.652 0.826 0.250 P
0.667 0.333 0.061 P
0.667 0.333 0.439 P
0.826 0.174 0.750 P
0.826 0.652 0.750 P



r2SCAN SrNi2P4, relaxed; space-group type = Fddd; E_tot = -11.438 eV per atom; volume = 16.64 A^3/atom; M_tot = 0.0 μB/cell; formation enthalpy at 0 K = -707 meV/atom
1.0
0.000 4.771 9.423
2.591 0.000 9.423
2.591 4.771 0.000
Sr Ni P
2 4 8
direct
0.125 0.125 0.125 Sr
0.875 0.875 0.875 Sr
0.255 0.255 0.495 Ni
0.495 0.495 0.255 Ni
0.505 0.505 0.745 Ni
0.745 0.745 0.505 Ni
0.178 0.685 0.186 P
0.186 0.450 0.178 P
0.315 0.822 0.550 P
0.450 0.186 0.685 P
0.550 0.814 0.315 P
0.685 0.178 0.450 P
0.814 0.550 0.822 P
0.822 0.315 0.814 P



r2SCAN SrNi5P3, relaxed; space-group type = Cmcm; E_tot = -12.085 eV per atom; volume = 13.41 A^3/atom; M_tot = 0.0 μB/cell; formation enthalpy at 0 K = -745 meV/atom
1.0
1.795 -5.837 0.000
1.795 5.837 0.000
0.000 0.000 11.521
Sr Ni P
2 10 6
direct
0.162 0.838 0.750 Sr
0.838 0.162 0.250 Sr
0.000 0.000 0.000 Ni
0.000 0.000 0.500 Ni
0.198 0.802 0.068 Ni
0.198 0.802 0.432 Ni
0.450 0.550 0.645 Ni
0.450 0.550 0.855 Ni
0.550 0.450 0.145 Ni
0.550 0.450 0.355 Ni
0.802 0.198 0.568 Ni
0.802 0.198 0.932 Ni
0.115 0.885 0.250 P
0.381 0.619 0.037 P
0.381 0.619 0.463 P
0.619 0.381 0.537 P
0.619 0.381 0.963 P
0.885 0.115 0.750 P



r2SCAN TbNiP, relaxed; space-group type = P6_3/mmc; E_tot = -18.734 eV per atom; volume = 16.89 A^3/atom; M_tot = 0.0 μB/cell; formation enthalpy at 0 K = -1331 meV/atom
1.0
3.885 0.000 0.000
-1.943 3.365 0.000
0.000 0.000 15.503
Tb Ni P
4 4 4
direct
0.000 0.000 0.000 Tb
0.000 0.000 0.250 Tb
0.000 0.000 0.500 Tb
0.000 0.000 0.750 Tb
0.333 0.667 0.128 Ni
0.333 0.667 0.372 Ni
0.667 0.333 0.628 Ni
0.667 0.333 0.872 Ni
0.333 0.667 0.623 P
0.333 0.667 0.877 P
0.667 0.333 0.123 P
0.667 0.333 0.377 P



r2SCAN Tm2Ni12P7, relaxed; space-group type = P-6; E_tot = -13.992 eV per atom; volume = 12.04 A^3/atom; M_tot = 0.0 μB/cell; formation enthalpy at 0 K = -800 meV/atom
1.0
8.950 0.000 0.000
-4.475 7.751 0.000
0.000 0.000 3.645
Tm Ni P
2 12 7
direct
0.000 0.000 0.000 Tm
0.333 0.667 0.500 Tm
0.048 0.765 0.500 Ni
0.101 0.396 0.000 Ni
0.235 0.283 0.500 Ni
0.294 0.899 0.000 Ni
0.391 0.211 0.000 Ni
0.545 0.118 0.500 Ni
0.573 0.455 0.500 Ni
0.604 0.706 0.000 Ni
0.717 0.952 0.500 Ni
0.789 0.181 0.000 Ni
0.819 0.609 0.000 Ni
0.882 0.427 0.500 Ni
0.075 0.629 0.000 P
0.261 0.039 0.500 P
0.371 0.447 0.000 P
0.553 0.925 0.000 P
0.667 0.333 0.000 P
0.778 0.739 0.500 P
0.961 0.222 0.500 P



Copy entry 3 word for word.
r2SCAN SrNi2P4, relaxed; space-group type = Fddd; E_tot = -11.438 eV per atom; volume = 16.64 A^3/atom; M_tot = 0.0 μB/cell; formation enthalpy at 0 K = -707 meV/atom
1.0
0.000 4.771 9.423
2.591 0.000 9.423
2.591 4.771 0.000
Sr Ni P
2 4 8
direct
0.125 0.125 0.125 Sr
0.875 0.875 0.875 Sr
0.255 0.255 0.495 Ni
0.495 0.495 0.255 Ni
0.505 0.505 0.745 Ni
0.745 0.745 0.505 Ni
0.178 0.685 0.186 P
0.186 0.450 0.178 P
0.315 0.822 0.550 P
0.450 0.186 0.685 P
0.550 0.814 0.315 P
0.685 0.178 0.450 P
0.814 0.550 0.822 P
0.822 0.315 0.814 P